First-principles (PBE) data for a relaxed structure of AlAgB, as listed in the Materials Project.

Unit cell a=5.692 b=5.692 c=5.692 alpha=90.00 beta=90.00 gamma=90.00
Space group F-43m (No. 216)
One atom of each set of equivalent atoms:
Al 0.000 0.000 0.000 (multiplicity 4)
Ag 0.250 0.250 0.250 (multiplicity 4)
B 0.250 0.250 0.750 (multiplicity 4)

Formation enthalpy at 0 K = 245 kJ/mol of formula units
Final energy = -42.867 eV per cell


First-principles (PBE) data for a relaxed structure of SiO2, as listed in the Materials Project.

Unit cell a=9.062 b=9.062 c=8.144 alpha=90.00 beta=90.00 gamma=90.00
Space group P4_2/nbc (No. 133, origin choice 2)
One atom of each set of equivalent atoms:
Si 0.032 0.695 0.187 (multiplicity 16)
O 0.011 0.750 0.000 (multiplicity 8)
O 0.073 0.666 0.694 (multiplicity 16)
O 0.120 0.120 0.250 (multiplicity 8)

Formation enthalpy at 0 K = -939 kJ/mol of formula units
Final energy = -378.892 eV per cell


First-principles (PBE) data for a relaxed structure of CoCSN6Cl2, as listed in the Materials Project.

Unit cell a=4.991 b=4.991 c=11.330 alpha=90.00 beta=90.00 gamma=90.00
Space group I4mm (No. 107)
One atom of each set of equivalent atoms:
Co 0.000 0.000 0.000 (multiplicity 2)
C 0.000 0.000 0.286 (multiplicity 2)
S 0.000 0.000 0.454 (multiplicity 2)
N 0.000 0.000 0.182 (multiplicity 2)
N 0.000 0.000 0.855 (multiplicity 2)
N 0.212 0.212 0.514 (multiplicity 8)
Cl 0.000 0.500 0.314 (multiplicity 4)

Formation enthalpy at 0 K = 1625 kJ/mol of formula units
Final energy = -112.249 eV per cell


First-principles (PBE) data for a relaxed structure of CuAg3, as listed in the Materials Project.

Unit cell a=5.7460 b=5.7460 c=4.6398 alpha=90.00 beta=90.00 gamma=120.00
Space group P6_3/mmc (No. 194)
One atom of each set of equivalent atoms:
Cu 0.3333 0.6667 0.2500 (multiplicity 2)
Ag 0.1694 0.3388 0.7500 (multiplicity 6)

Formation enthalpy at 0 K = 33 kJ/mol of formula units
Final energy = -24.508 eV per cell


First-principles (PBE) data for a relaxed structure of Ba6MgIr6O18, as listed in the Materials Project.

Unit cell a=5.721 b=5.850 c=15.032 alpha=91.29 beta=92.06 gamma=118.12
Space group P1 (No. 1)
One atom of each set of equivalent atoms:
Ba 0.000 0.000 0.000 (multiplicity 1)
Ba 0.030 0.068 0.297 (multiplicity 1)
Ba 0.353 0.709 0.149 (multiplicity 1)
Ba 0.401 0.801 0.633 (multiplicity 1)
Ba 0.727 0.441 0.477 (multiplicity 1)
Ba 0.766 0.520 0.754 (multiplicity 1)
Mg 0.535 0.164 0.888 (multiplicity 1)
Ir 0.045 0.114 0.732 (multiplicity 1)
Ir 0.062 0.111 0.540 (multiplicity 1)
Ir 0.340 0.681 0.896 (multiplicity 1)
Ir 0.380 0.757 0.391 (multiplicity 1)
Ir 0.693 0.402 0.242 (multiplicity 1)
Ir 0.704 0.374 0.054 (multiplicity 1)
O 0.008 0.570 0.334 (multiplicity 1)
O 0.064 0.478 0.988 (multiplicity 1)
O 0.169 0.933 0.843 (multiplicity 1)
O 0.216 0.472 0.786 (multiplicity 1)
O 0.263 0.477 0.487 (multiplicity 1)
O 0.298 0.979 0.477 (multiplicity 1)
O 0.343 0.245 0.642 (multiplicity 1)
O 0.407 0.248 0.141 (multiplicity 1)
O 0.471 0.533 0.308 (multiplicity 1)
O 0.493 0.035 0.297 (multiplicity 1)
O 0.521 0.984 0.999 (multiplicity 1)
O 0.561 0.493 0.937 (multiplicity 1)
O 0.695 0.006 0.808 (multiplicity 1)
O 0.759 0.932 0.442 (multiplicity 1)
O 0.840 0.684 0.146 (multiplicity 1)
O 0.857 0.254 0.156 (multiplicity 1)
O 0.902 0.253 0.631 (multiplicity 1)
O 0.904 0.817 0.627 (multiplicity 1)

Formation enthalpy at 0 K = -5742 kJ/mol of formula units
Energy above the lowest structure with this stoichiometry = 54.5 meV per atom
Final energy = -202.357 eV per cell


First-principles (PBE) data for a relaxed structure of Sm3MgBiRu4O14, as listed in the Materials Project.

Unit cell a=7.429 b=7.438 c=7.438 alpha=60.66 beta=60.68 gamma=60.67
Space group P1 (No. 1)
One atom of each set of equivalent atoms:
Sm 0.000 0.000 0.000 (multiplicity 1)
Sm 0.000 0.476 0.525 (multiplicity 1)
Sm 0.527 0.475 0.000 (multiplicity 1)
Mg 0.285 0.762 0.286 (multiplicity 1)
Bi 0.018 0.488 0.014 (multiplicity 1)
Ru 0.003 0.005 0.530 (multiplicity 1)
Ru 0.530 0.003 0.527 (multiplicity 1)
Ru 0.530 0.479 0.529 (multiplicity 1)
Ru 0.531 0.005 0.004 (multiplicity 1)
O 0.175 0.648 0.172 (multiplicity 1)
O 0.180 0.087 0.612 (multiplicity 1)
O 0.182 0.084 0.180 (multiplicity 1)
O 0.182 0.656 0.608 (multiplicity 1)
O 0.441 0.325 0.850 (multiplicity 1)
O 0.449 0.320 0.447 (multiplicity 1)
O 0.449 0.922 0.845 (multiplicity 1)
O 0.608 0.657 0.181 (multiplicity 1)
O 0.613 0.088 0.178 (multiplicity 1)
O 0.613 0.654 0.613 (multiplicity 1)
O 0.850 0.325 0.440 (multiplicity 1)
O 0.850 0.915 0.849 (multiplicity 1)
O 0.852 0.918 0.442 (multiplicity 1)
O 0.899 0.371 0.896 (multiplicity 1)

Formation enthalpy at 0 K = -4934 kJ/mol of formula units
Energy above the lowest structure with this stoichiometry = 36.2 meV per atom
Final energy = -167.537 eV per cell


First-principles (PBE) data for a relaxed structure of CsTm2Cl7, as listed in the Materials Project.

Unit cell a=13.871 b=6.973 c=12.574 alpha=90.00 beta=90.00 gamma=90.00
Space group Pnma (No. 62)
One atom of each set of equivalent atoms:
Cs 0.042 0.250 0.196 (multiplicity 4)
Tm 0.239 0.250 0.541 (multiplicity 4)
Tm 0.249 0.750 0.343 (multiplicity 4)
Cl 0.114 0.750 0.189 (multiplicity 4)
Cl 0.128 0.009 0.426 (multiplicity 8)
Cl 0.139 0.010 0.960 (multiplicity 8)
Cl 0.179 0.014 0.694 (multiplicity 8)

Formation enthalpy at 0 K = -2591 kJ/mol of formula units
Final energy = -181.381 eV per cell


First-principles (PBE) data for a relaxed structure of MgSi2O5, as listed in the Materials Project.

Unit cell a=6.944 b=7.735 c=5.357 alpha=90.00 beta=90.00 gamma=90.00
Space group Pbam (No. 55)
One atom of each set of equivalent atoms:
Mg 0.146 0.161 0.000 (multiplicity 4)
Si 0.000 0.500 0.245 (multiplicity 4)
Si 0.113 0.854 0.500 (multiplicity 4)
O 0.000 0.000 0.288 (multiplicity 4)
O 0.113 0.705 0.261 (multiplicity 8)
O 0.155 0.437 0.000 (multiplicity 4)
O 0.156 0.425 0.500 (multiplicity 4)

Formation enthalpy at 0 K = -2378 kJ/mol of formula units
Final energy = -233.605 eV per cell


First-principles (PBE) data for a relaxed structure of Mg5As, as listed in the Materials Project.

Unit cell a=11.668 b=3.144 c=7.428 alpha=90.00 beta=106.64 gamma=90.00
Space group Cm (No. 8)
One atom of each set of equivalent atoms:
Mg 0.000 0.000 0.000 (multiplicity 2)
Mg 0.026 0.000 0.608 (multiplicity 2)
Mg 0.147 0.500 0.345 (multiplicity 2)
Mg 0.310 0.000 0.690 (multiplicity 2)
Mg 0.362 0.000 0.251 (multiplicity 2)
As 0.208 0.500 0.954 (multiplicity 2)

Formation enthalpy at 0 K = -22 kJ/mol of formula units
Energy above the lowest structure with this stoichiometry = 62.0 meV per atom
Final energy = -25.775 eV per cell


First-principles (PBE) data for a relaxed structure of HoTiCo11, as listed in the Materials Project.

Unit cell a=4.688 b=8.352 c=8.310 alpha=90.00 beta=90.00 gamma=90.00
Space group Imm2 (No. 44)
One atom of each set of equivalent atoms:
Ho 0.000 0.000 0.000 (multiplicity 2)
Ti 0.000 0.000 0.623 (multiplicity 2)
Co 0.000 0.000 0.345 (multiplicity 2)
Co 0.000 0.281 0.491 (multiplicity 4)
Co 0.000 0.358 0.991 (multiplicity 4)
Co 0.000 0.500 0.273 (multiplicity 2)
Co 0.000 0.500 0.718 (multiplicity 2)
Co 0.248 0.247 0.244 (multiplicity 8)

Formation enthalpy at 0 K = -178 kJ/mol of formula units
Final energy = -185.030 eV per cell


First-principles (PBE) data for a relaxed structure of MoPt3, as listed in the Materials Project.

Unit cell a=2.793 b=4.565 c=4.898 alpha=90.00 beta=90.00 gamma=90.00
Space group Pmm2 (No. 25)
One atom of each set of equivalent atoms:
Mo 0.000 0.000 0.000 (multiplicity 1)
Pt 0.000 0.500 0.689 (multiplicity 1)
Pt 0.500 0.000 0.498 (multiplicity 1)
Pt 0.500 0.500 0.180 (multiplicity 1)

Formation enthalpy at 0 K = -65 kJ/mol of formula units
Final energy = -29.737 eV per cell


First-principles (PBE) data for a relaxed structure of NdGa8Fe4, as listed in the Materials Project.

Unit cell a=8.785 b=8.785 c=5.084 alpha=90.00 beta=90.00 gamma=90.00
Space group I4/mmm (No. 139)
One atom of each set of equivalent atoms:
Nd 0.000 0.000 0.000 (multiplicity 2)
Ga 0.000 0.224 0.500 (multiplicity 8)
Ga 0.000 0.341 0.000 (multiplicity 8)
Fe 0.250 0.250 0.250 (multiplicity 8)

Formation enthalpy at 0 K = -351 kJ/mol of formula units
Final energy = -133.025 eV per cell


> formation enthalpy at 0 K of number 10 (HoTiCo11)?

-178 kJ/mol of formula units


> Which value of formation enthalpy at 0 K does entry 2 give?

-939 kJ/mol of formula units